[1]
# SrHfMg14O16, optimized geometry, DFT PBE
data_SrHfMg14O16
_symmetry_space_group_name_H-M 'P m m m'
_symmetry_Int_Tables_number 47
_symmetry_space_group_name_Hall '-P 2 2'
_cell_length_a 4.451
_cell_length_b 8.779
_cell_length_c 8.815
_cell_angle_alpha 90.00
_cell_angle_beta 90.00
_cell_angle_gamma 90.00
loop_
_atom_site_label
_atom_site_type_symbol
_atom_site_fract_x
_atom_site_fract_y
_atom_site_fract_z
Sr1 Sr 0.000 0.000 0.000
Hf1 Hf 0.000 0.000 0.500
Mg1 Mg 0.000 0.263 0.249
Mg2 Mg 0.000 0.500 0.000
Mg3 Mg 0.000 0.500 0.500
Mg4 Mg 0.500 0.000 0.250
Mg5 Mg 0.500 0.258 0.500
Mg6 Mg 0.500 0.262 0.000
Mg7 Mg 0.500 0.500 0.250
O1 O 0.000 0.000 0.266
O2 O 0.000 0.256 0.500
O3 O 0.000 0.272 0.000
O4 O 0.000 0.500 0.255
O5 O 0.500 0.000 0.000
O6 O 0.500 0.000 0.500
O7 O 0.500 0.250 0.249
O8 O 0.500 0.500 0.000
O9 O 0.500 0.500 0.500
# DFT formation energy: -2.862 eV per atom



[2]
# HfMg14ZnO16, optimized geometry, DFT PBE
data_HfMg14ZnO16
_symmetry_space_group_name_H-M 'P 4/m m m'
_symmetry_Int_Tables_number 123
_symmetry_space_group_name_Hall '-P 4 2'
_cell_length_a 8.723
_cell_length_b 8.723
_cell_length_c 4.299
_cell_angle_alpha 90.00
_cell_angle_beta 90.00
_cell_angle_gamma 90.00
loop_
_atom_site_label
_atom_site_type_symbol
_atom_site_fract_x
_atom_site_fract_y
_atom_site_fract_z
Hf1 Hf 0.000 0.000 0.000
Mg1 Mg 0.000 0.261 0.500
Mg2 Mg 0.000 0.500 0.000
Mg3 Mg 0.253 0.500 0.500
Mg4 Mg 0.259 0.259 0.000
Zn1 Zn 0.500 0.500 0.000
O1 O 0.000 0.000 0.500
O2 O 0.000 0.246 0.000
O3 O 0.000 0.500 0.500
O4 O 0.230 0.500 0.000
O5 O 0.247 0.247 0.500
O6 O 0.500 0.500 0.500
# DFT formation energy: -2.861 eV per atom



[3]
# HfMg14ZnO16, optimized geometry, DFT PBE
data_HfMg14ZnO16
_symmetry_space_group_name_H-M 'P m m m'
_symmetry_Int_Tables_number 47
_symmetry_space_group_name_Hall '-P 2 2'
_cell_length_a 4.293
_cell_length_b 8.680
_cell_length_c 8.794
_cell_angle_alpha 90.00
_cell_angle_beta 90.00
_cell_angle_gamma 90.00
loop_
_atom_site_label
_atom_site_type_symbol
_atom_site_fract_x
_atom_site_fract_y
_atom_site_fract_z
Hf1 Hf 0.000 0.000 0.000
Mg1 Mg 0.000 0.255 0.259
Mg2 Mg 0.000 0.500 0.000
Mg3 Mg 0.000 0.500 0.500
Mg4 Mg 0.500 0.000 0.263
Mg5 Mg 0.500 0.252 0.500
Mg6 Mg 0.500 0.259 0.000
Mg7 Mg 0.500 0.500 0.252
Zn1 Zn 0.000 0.000 0.500
O1 O 0.000 0.000 0.237
O2 O 0.000 0.251 0.000
O3 O 0.000 0.269 0.500
O4 O 0.000 0.500 0.244
O5 O 0.500 0.000 0.000
O6 O 0.500 0.000 0.500
O7 O 0.500 0.250 0.248
O8 O 0.500 0.500 0.000
O9 O 0.500 0.500 0.500
# DFT formation energy: -2.860 eV per atom